No. 1
PbS, relaxed, DFT PBE; space-group type = Cmcm (63); E_form = -0.746 eV/atom; calculated total energy = -4.42 eV per atom
1.0
2.099 -6.131 0.000
2.099 6.131 0.000
0.000 0.000 4.303
Pb S
2 2
Direct
0.133 0.867 0.750 Pb
0.867 0.133 0.250 Pb
0.354 0.646 0.750 S
0.646 0.354 0.250 S

=====

No. 2
PbS, relaxed, DFT PBE; space-group type = R3m (160); E_form = -0.783 eV/atom; calculated total energy = -4.46 eV per atom
1.0
2.122 1.225 3.484
-2.122 1.225 3.484
0.000 -2.451 3.484
Pb S
1 1
Direct
0.000 0.000 0.000 Pb
0.486 0.486 0.486 S

=====

No. 3
PbS, relaxed, DFT PBE; space-group type = C2 (5); E_form = -0.726 eV/atom; calculated total energy = -4.40 eV per atom
1.0
3.004 -3.013 0.000
3.004 3.013 0.000
-2.133 0.000 22.337
Pb S
2 2
Direct
0.228 0.228 0.437 Pb
0.772 0.772 0.563 Pb
0.287 0.254 0.558 S
0.746 0.713 0.442 S

=====

No. 4
PbS, relaxed, DFT PBE; space-group type = Amm2 (38); E_form = -0.590 eV/atom; calculated total energy = -4.26 eV per atom
1.0
3.996 0.000 0.000
0.000 4.990 6.327
0.000 -4.990 6.327
Pb S
4 4
Direct
0.000 0.000 0.000 Pb
0.000 0.038 0.489 Pb
0.000 0.489 0.038 Pb
0.500 0.512 0.512 Pb
0.000 0.375 0.375 S
0.500 0.138 0.696 S
0.500 0.162 0.162 S
0.500 0.696 0.138 S

=====

No. 5
PbS, relaxed, DFT PBE; space-group type = C2/m (12); E_form = -0.726 eV/atom; calculated total energy = -4.40 eV per atom
1.0
3.003 -3.000 0.000
3.003 3.000 0.000
-1.292 0.000 16.637
Pb S
2 2
Direct
0.233 0.233 0.413 Pb
0.767 0.767 0.587 Pb
0.266 0.266 0.575 S
0.734 0.734 0.425 S

=====

No. 6
PbS, relaxed, DFT PBE; space-group type = Amm2 (38); E_form = -0.621 eV/atom; calculated total energy = -4.29 eV per atom
1.0
4.070 0.000 0.000
0.000 5.690 5.574
0.000 -5.690 5.574
Pb S
4 4
Direct
0.000 0.000 0.000 Pb
0.000 0.515 0.839 Pb
0.000 0.839 0.515 Pb
0.500 0.314 0.314 Pb
0.000 0.487 0.487 S
0.500 0.294 0.951 S
0.500 0.814 0.814 S
0.500 0.951 0.294 S

=====

No. 7
PbS, relaxed, DFT PBE; space-group type = Fm-3m (225); E_form = -0.785 eV/atom; calculated total energy = -4.46 eV per atom
1.0
0.000 3.003 3.003
3.003 0.000 3.003
3.003 3.003 0.000
Pb S
1 1
Direct
0.000 0.000 0.000 Pb
0.500 0.500 0.500 S

=====

No. 8
Sb4Pb5S11, relaxed, DFT PBE; space-group type = P2_1/c (14); E_form = -0.662 eV/atom; calculated total energy = -4.41 eV per atom
1.0
8.162 0.000 0.000
0.000 23.851 0.000
-4.161 0.000 21.712
Sb Pb S
32 40 88
Direct
0.095 0.231 0.438 Sb
0.095 0.269 0.938 Sb
0.179 0.216 0.613 Sb
0.179 0.284 0.113 Sb
0.237 0.035 0.718 Sb
0.237 0.465 0.218 Sb
0.273 0.544 0.790 Sb
0.273 0.956 0.290 Sb
0.307 0.690 0.870 Sb
0.307 0.810 0.370 Sb
0.320 0.105 0.376 Sb
0.320 0.395 0.876 Sb
0.331 0.562 0.969 Sb
0.331 0.938 0.469 Sb
0.364 0.620 0.485 Sb
0.364 0.880 0.985 Sb
0.636 0.120 0.015 Sb
0.636 0.380 0.515 Sb
0.669 0.062 0.531 Sb
0.669 0.438 0.031 Sb
0.680 0.605 0.124 Sb
0.680 0.895 0.624 Sb
0.693 0.190 0.630 Sb
0.693 0.310 0.130 Sb
0.727 0.044 0.710 Sb
0.727 0.456 0.210 Sb
0.763 0.535 0.782 Sb
0.763 0.965 0.282 Sb
0.821 0.716 0.887 Sb
0.821 0.784 0.387 Sb
0.905 0.731 0.062 Sb
0.905 0.769 0.562 Sb
0.022 0.175 0.795 Pb
0.022 0.325 0.295 Pb
0.026 0.660 0.308 Pb
0.026 0.840 0.808 Pb
0.057 0.000 0.877 Pb
0.057 0.500 0.377 Pb
0.132 0.135 0.014 Pb
0.132 0.365 0.514 Pb
0.150 0.070 0.547 Pb
0.150 0.430 0.047 Pb
0.203 0.595 0.131 Pb
0.203 0.905 0.631 Pb
0.397 0.733 0.040 Pb
0.397 0.767 0.540 Pb
0.424 0.000 0.111 Pb
0.424 0.500 0.611 Pb
0.468 0.161 0.194 Pb
0.468 0.339 0.694 Pb
0.479 0.678 0.709 Pb
0.479 0.822 0.209 Pb
0.521 0.178 0.791 Pb
0.521 0.322 0.291 Pb
0.532 0.661 0.306 Pb
0.532 0.839 0.806 Pb
0.576 0.000 0.889 Pb
0.576 0.500 0.389 Pb
0.603 0.233 0.460 Pb
0.603 0.267 0.960 Pb
0.797 0.095 0.369 Pb
0.797 0.405 0.869 Pb
0.850 0.570 0.953 Pb
0.850 0.930 0.453 Pb
0.868 0.635 0.486 Pb
0.868 0.865 0.986 Pb
0.943 0.000 0.123 Pb
0.943 0.500 0.623 Pb
0.974 0.160 0.192 Pb
0.974 0.340 0.692 Pb
0.978 0.675 0.705 Pb
0.978 0.825 0.205 Pb
0.016 0.527 0.248 S
0.016 0.973 0.748 S
0.057 0.171 0.344 S
0.057 0.329 0.844 S
0.067 0.625 0.833 S
0.067 0.875 0.333 S
0.073 0.723 0.417 S
0.073 0.777 0.917 S
0.107 0.013 0.435 S
0.107 0.487 0.935 S
0.141 0.634 0.011 S
0.141 0.866 0.511 S
0.151 0.707 0.598 S
0.151 0.793 0.098 S
0.156 0.556 0.514 S
0.156 0.944 0.014 S
0.187 0.085 0.132 S
0.187 0.415 0.632 S
0.217 0.584 0.687 S
0.217 0.916 0.187 S
0.238 0.249 0.722 S
0.238 0.251 0.222 S
0.265 0.749 0.277 S
0.265 0.751 0.777 S
0.287 0.088 0.814 S
0.287 0.412 0.314 S
0.300 0.205 0.906 S
0.300 0.295 0.406 S
0.309 0.592 0.374 S
0.309 0.908 0.874 S
0.372 0.139 0.482 S
0.372 0.361 0.982 S
0.387 0.061 0.989 S
0.387 0.439 0.489 S
0.392 0.220 0.081 S
0.392 0.280 0.581 S
0.423 0.519 0.071 S
0.423 0.981 0.571 S
0.468 0.673 0.154 S
0.468 0.827 0.654 S
0.488 0.125 0.673 S
0.488 0.375 0.173 S
0.488 0.527 0.245 S
0.488 0.973 0.745 S
0.512 0.027 0.255 S
0.512 0.473 0.755 S
0.512 0.625 0.827 S
0.512 0.875 0.327 S
0.532 0.173 0.346 S
0.532 0.327 0.846 S
0.577 0.019 0.429 S
0.577 0.481 0.929 S
0.608 0.720 0.419 S
0.608 0.780 0.919 S
0.613 0.561 0.511 S
0.613 0.939 0.011 S
0.628 0.639 0.018 S
0.628 0.861 0.518 S
0.691 0.092 0.126 S
0.691 0.408 0.626 S
0.700 0.705 0.594 S
0.700 0.795 0.094 S
0.713 0.588 0.686 S
0.713 0.912 0.186 S
0.735 0.249 0.223 S
0.735 0.251 0.723 S
0.762 0.749 0.778 S
0.762 0.751 0.278 S
0.783 0.084 0.813 S
0.783 0.416 0.313 S
0.813 0.585 0.368 S
0.813 0.915 0.868 S
0.844 0.056 0.986 S
0.844 0.444 0.486 S
0.849 0.207 0.902 S
0.849 0.293 0.402 S
0.859 0.134 0.489 S
0.859 0.366 0.989 S
0.893 0.513 0.065 S
0.893 0.987 0.565 S
0.927 0.223 0.083 S
0.927 0.277 0.583 S
0.933 0.125 0.667 S
0.933 0.375 0.167 S
0.943 0.671 0.156 S
0.943 0.829 0.656 S
0.984 0.027 0.252 S
0.984 0.473 0.752 S

=====

> The lowest E_form belongs to which entry?

number 7